First-principles (PBE) data for crystalline Na10Nb7AlSi12O48 at its relaxed geometry, as listed in the Materials Project database.

abc: 9.003 15.596 22.677
angles: 90.01 90.02 90.03
Space group P1 (No. 1)
Symmetry-distinct sites (fractional):
Na: 0.000 0.000 0.000 (multiplicity 1)
Na: 0.001 0.031 0.335 (multiplicity 1)
Na: 0.008 0.366 0.998 (multiplicity 1)
Na: 0.127 0.866 0.498 (multiplicity 1)
Na: 0.136 0.167 0.834 (multiplicity 1)
Na: 0.136 0.531 0.835 (multiplicity 1)
Na: 0.139 0.496 0.498 (multiplicity 1)
Na: 0.186 0.187 0.498 (multiplicity 1)
Na: 0.307 0.682 0.249 (multiplicity 1)
Na: 0.317 0.349 0.584 (multiplicity 1)
Na: 0.317 0.350 0.083 (multiplicity 1)
Na: 0.320 0.019 0.416 (multiplicity 1)
Na: 0.321 0.686 0.750 (multiplicity 1)
Na: 0.323 0.011 0.915 (multiplicity 1)
Na: 0.446 0.187 0.998 (multiplicity 1)
Na: 0.453 0.849 0.334 (multiplicity 1)
Na: 0.495 0.496 0.998 (multiplicity 1)
Na: 0.500 0.530 0.334 (multiplicity 1)
Na: 0.627 0.365 0.498 (multiplicity 1)
Na: 0.633 0.700 0.167 (multiplicity 1)
Na: 0.638 0.997 0.499 (multiplicity 1)
Na: 0.680 0.350 0.834 (multiplicity 1)
Na: 0.685 0.687 0.498 (multiplicity 1)
Na: 0.812 0.183 0.248 (multiplicity 1)
Na: 0.814 0.180 0.748 (multiplicity 1)
Na: 0.816 0.522 0.917 (multiplicity 1)
Na: 0.817 0.850 0.083 (multiplicity 1)
Na: 0.817 0.850 0.584 (multiplicity 1)
Na: 0.820 0.519 0.416 (multiplicity 1)
Na: 0.955 0.349 0.334 (multiplicity 1)
Nb: 0.313 0.682 0.104 (multiplicity 1)
Nb: 0.313 0.682 0.396 (multiplicity 1)
Nb: 0.317 0.016 0.566 (multiplicity 1)
Nb: 0.317 0.349 0.229 (multiplicity 1)
Nb: 0.317 0.683 0.606 (multiplicity 1)
Nb: 0.318 0.349 0.729 (multiplicity 1)
Nb: 0.319 0.014 0.064 (multiplicity 1)
Nb: 0.320 0.019 0.271 (multiplicity 1)
Nb: 0.320 0.686 0.896 (multiplicity 1)
Nb: 0.321 0.014 0.771 (multiplicity 1)
Nb: 0.813 0.183 0.396 (multiplicity 1)
Nb: 0.813 0.519 0.771 (multiplicity 1)
Nb: 0.814 0.180 0.896 (multiplicity 1)
Nb: 0.814 0.846 0.937 (multiplicity 1)
Nb: 0.817 0.516 0.566 (multiplicity 1)
Nb: 0.817 0.850 0.729 (multiplicity 1)
Nb: 0.818 0.183 0.606 (multiplicity 1)
Nb: 0.818 0.184 0.106 (multiplicity 1)
Nb: 0.819 0.518 0.064 (multiplicity 1)
Nb: 0.821 0.518 0.271 (multiplicity 1)
Nb: 0.822 0.853 0.230 (multiplicity 1)
Al: 0.317 0.349 0.435 (multiplicity 1)
Al: 0.318 0.350 0.935 (multiplicity 1)
Al: 0.817 0.849 0.436 (multiplicity 1)
Si: 0.023 0.686 0.500 (multiplicity 1)
Si: 0.027 0.017 0.167 (multiplicity 1)
Si: 0.034 0.350 0.837 (multiplicity 1)
Si: 0.100 0.849 0.337 (multiplicity 1)
Si: 0.108 0.516 0.668 (multiplicity 1)
Si: 0.110 0.186 0.000 (multiplicity 1)
Si: 0.170 0.871 0.668 (multiplicity 1)
Si: 0.172 0.161 0.669 (multiplicity 1)
Si: 0.172 0.827 0.000 (multiplicity 1)
Si: 0.174 0.536 0.998 (multiplicity 1)
Si: 0.175 0.491 0.336 (multiplicity 1)
Si: 0.179 0.208 0.337 (multiplicity 1)
Si: 0.458 0.207 0.837 (multiplicity 1)
Si: 0.459 0.492 0.837 (multiplicity 1)
Si: 0.459 0.535 0.500 (multiplicity 1)
Si: 0.462 0.162 0.166 (multiplicity 1)
Si: 0.462 0.871 0.168 (multiplicity 1)
Si: 0.468 0.828 0.500 (multiplicity 1)
Si: 0.523 0.186 0.500 (multiplicity 1)
Si: 0.526 0.514 0.167 (multiplicity 1)
Si: 0.529 0.850 0.833 (multiplicity 1)
Si: 0.598 0.348 0.336 (multiplicity 1)
Si: 0.607 0.684 0.001 (multiplicity 1)
Si: 0.609 0.016 0.668 (multiplicity 1)
Si: 0.666 0.328 0.999 (multiplicity 1)
Si: 0.671 0.663 0.667 (multiplicity 1)
Si: 0.672 0.037 0.001 (multiplicity 1)
Si: 0.672 0.371 0.668 (multiplicity 1)
Si: 0.674 0.992 0.337 (multiplicity 1)
Si: 0.679 0.708 0.336 (multiplicity 1)
Si: 0.959 0.035 0.500 (multiplicity 1)
Si: 0.962 0.372 0.167 (multiplicity 1)
Si: 0.962 0.706 0.833 (multiplicity 1)
Si: 0.962 0.992 0.834 (multiplicity 1)
Si: 0.965 0.662 0.167 (multiplicity 1)
Si: 0.968 0.328 0.500 (multiplicity 1)
O: 0.001 0.165 0.942 (multiplicity 1)
O: 0.001 0.502 0.609 (multiplicity 1)
O: 0.001 0.531 0.726 (multiplicity 1)
O: 0.132 0.002 0.109 (multiplicity 1)
O: 0.132 0.030 0.226 (multiplicity 1)
O: 0.136 0.367 0.894 (multiplicity 1)
O: 0.136 0.665 0.444 (multiplicity 1)
O: 0.136 0.700 0.556 (multiplicity 1)
O: 0.137 0.332 0.778 (multiplicity 1)
O: 0.141 0.008 0.828 (multiplicity 1)
O: 0.141 0.363 0.174 (multiplicity 1)
O: 0.141 0.692 0.840 (multiplicity 1)
O: 0.142 0.029 0.506 (multiplicity 1)
O: 0.144 0.670 0.161 (multiplicity 1)
O: 0.146 0.338 0.493 (multiplicity 1)
O: 0.199 0.432 0.394 (multiplicity 1)
O: 0.201 0.268 0.278 (multiplicity 1)
O: 0.202 0.101 0.726 (multiplicity 1)
O: 0.202 0.598 0.941 (multiplicity 1)
O: 0.203 0.931 0.608 (multiplicity 1)
O: 0.205 0.766 0.058 (multiplicity 1)
O: 0.210 0.098 0.007 (multiplicity 1)
O: 0.210 0.431 0.674 (multiplicity 1)
O: 0.210 0.602 0.659 (multiplicity 1)
O: 0.210 0.934 0.328 (multiplicity 1)
O: 0.213 0.270 0.992 (multiplicity 1)
O: 0.215 0.766 0.341 (multiplicity 1)
O: 0.242 0.109 0.328 (multiplicity 1)
O: 0.244 0.924 0.007 (multiplicity 1)
O: 0.246 0.115 0.609 (multiplicity 1)
O: 0.248 0.251 0.395 (multiplicity 1)
O: 0.249 0.255 0.674 (multiplicity 1)
O: 0.249 0.777 0.659 (multiplicity 1)
O: 0.249 0.781 0.943 (multiplicity 1)
O: 0.249 0.919 0.724 (multiplicity 1)
O: 0.250 0.442 0.993 (multiplicity 1)
O: 0.252 0.584 0.056 (multiplicity 1)
O: 0.253 0.449 0.278 (multiplicity 1)
O: 0.253 0.587 0.341 (multiplicity 1)
O: 0.381 0.448 0.778 (multiplicity 1)
O: 0.381 0.584 0.556 (multiplicity 1)
O: 0.382 0.112 0.827 (multiplicity 1)
O: 0.382 0.250 0.894 (multiplicity 1)
O: 0.382 0.587 0.841 (multiplicity 1)
O: 0.383 0.784 0.442 (multiplicity 1)
O: 0.385 0.255 0.174 (multiplicity 1)
O: 0.385 0.441 0.492 (multiplicity 1)
O: 0.386 0.922 0.506 (multiplicity 1)
O: 0.387 0.116 0.108 (multiplicity 1)
O: 0.388 0.916 0.226 (multiplicity 1)
O: 0.391 0.775 0.161 (multiplicity 1)
O: 0.421 0.270 0.492 (multiplicity 1)
O: 0.422 0.430 0.174 (multiplicity 1)
O: 0.423 0.098 0.506 (multiplicity 1)
O: 0.424 0.935 0.827 (multiplicity 1)
O: 0.425 0.765 0.841 (multiplicity 1)
O: 0.429 0.099 0.223 (multiplicity 1)
O: 0.429 0.933 0.111 (multiplicity 1)
O: 0.430 0.603 0.160 (multiplicity 1)
O: 0.433 0.764 0.556 (multiplicity 1)
O: 0.434 0.268 0.778 (multiplicity 1)
O: 0.436 0.431 0.894 (multiplicity 1)
O: 0.437 0.599 0.442 (multiplicity 1)
O: 0.488 0.337 0.992 (multiplicity 1)
O: 0.491 0.032 0.007 (multiplicity 1)
O: 0.492 0.670 0.659 (multiplicity 1)
O: 0.493 0.001 0.327 (multiplicity 1)
O: 0.493 0.363 0.674 (multiplicity 1)
O: 0.495 0.696 0.341 (multiplicity 1)
O: 0.497 0.335 0.277 (multiplicity 1)
O: 0.498 0.031 0.724 (multiplicity 1)
O: 0.498 0.368 0.394 (multiplicity 1)
O: 0.498 0.665 0.945 (multiplicity 1)
O: 0.502 0.002 0.608 (multiplicity 1)
O: 0.504 0.698 0.060 (multiplicity 1)
O: 0.633 0.502 0.109 (multiplicity 1)
O: 0.634 0.533 0.225 (multiplicity 1)
O: 0.636 0.200 0.556 (multiplicity 1)
O: 0.636 0.834 0.776 (multiplicity 1)
O: 0.636 0.864 0.891 (multiplicity 1)
O: 0.637 0.165 0.444 (multiplicity 1)
O: 0.641 0.199 0.841 (multiplicity 1)
O: 0.641 0.501 0.827 (multiplicity 1)
O: 0.642 0.170 0.160 (multiplicity 1)
O: 0.642 0.529 0.506 (multiplicity 1)
O: 0.642 0.859 0.174 (multiplicity 1)
O: 0.646 0.838 0.493 (multiplicity 1)
O: 0.699 0.932 0.394 (multiplicity 1)
O: 0.700 0.100 0.944 (multiplicity 1)
O: 0.700 0.766 0.276 (multiplicity 1)
O: 0.701 0.264 0.056 (multiplicity 1)
O: 0.704 0.431 0.609 (multiplicity 1)
O: 0.705 0.599 0.723 (multiplicity 1)
O: 0.706 0.596 0.007 (multiplicity 1)
O: 0.709 0.433 0.327 (multiplicity 1)
O: 0.710 0.102 0.659 (multiplicity 1)
O: 0.710 0.931 0.673 (multiplicity 1)
O: 0.712 0.768 0.994 (multiplicity 1)
O: 0.715 0.266 0.341 (multiplicity 1)
O: 0.742 0.609 0.328 (multiplicity 1)
O: 0.746 0.616 0.608 (multiplicity 1)
O: 0.747 0.417 0.726 (multiplicity 1)
O: 0.748 0.422 0.007 (multiplicity 1)
O: 0.748 0.752 0.394 (multiplicity 1)
O: 0.749 0.277 0.660 (multiplicity 1)
O: 0.749 0.756 0.673 (multiplicity 1)
O: 0.752 0.284 0.942 (multiplicity 1)
O: 0.752 0.948 0.278 (multiplicity 1)
O: 0.753 0.084 0.057 (multiplicity 1)
O: 0.753 0.087 0.341 (multiplicity 1)
O: 0.753 0.945 0.994 (multiplicity 1)
O: 0.881 0.084 0.556 (multiplicity 1)
O: 0.881 0.754 0.174 (multiplicity 1)
O: 0.883 0.284 0.442 (multiplicity 1)
O: 0.883 0.615 0.111 (multiplicity 1)
O: 0.885 0.277 0.160 (multiplicity 1)
O: 0.885 0.941 0.492 (multiplicity 1)
O: 0.885 0.948 0.777 (multiplicity 1)
O: 0.886 0.422 0.506 (multiplicity 1)
O: 0.886 0.751 0.891 (multiplicity 1)
O: 0.887 0.417 0.226 (multiplicity 1)
O: 0.891 0.090 0.841 (multiplicity 1)
O: 0.891 0.609 0.827 (multiplicity 1)
O: 0.921 0.770 0.492 (multiplicity 1)
O: 0.923 0.598 0.506 (multiplicity 1)
O: 0.924 0.102 0.160 (multiplicity 1)
O: 0.924 0.265 0.841 (multiplicity 1)
O: 0.924 0.434 0.828 (multiplicity 1)
O: 0.924 0.931 0.174 (multiplicity 1)
O: 0.930 0.432 0.109 (multiplicity 1)
O: 0.930 0.600 0.224 (multiplicity 1)
O: 0.930 0.766 0.776 (multiplicity 1)
O: 0.932 0.935 0.893 (multiplicity 1)
O: 0.933 0.265 0.556 (multiplicity 1)
O: 0.936 0.099 0.442 (multiplicity 1)
O: 0.992 0.862 0.673 (multiplicity 1)
O: 0.993 0.170 0.659 (multiplicity 1)
O: 0.993 0.501 0.327 (multiplicity 1)
O: 0.993 0.526 0.007 (multiplicity 1)
O: 0.993 0.841 0.994 (multiplicity 1)
O: 0.995 0.195 0.341 (multiplicity 1)
O: 0.998 0.200 0.056 (multiplicity 1)
O: 0.998 0.835 0.277 (multiplicity 1)
O: 0.998 0.868 0.394 (multiplicity 1)

Calculated values
- total magnetic moment (Bohr magnetons per cell) = 0.00
- ΔE_f (eV per atom) = -2.988